Record 1
4
Lattice="-2.2393 2.2393 4.5795 2.2393 -2.2393 4.5795 2.2393 2.2393 -4.5795" Properties=species:S:1:pos:R:3 comment="PBE Na3Ru, relaxed" delta_e_f_ev_per_atom=0.842 vol_a3_per_atom=23.0 pbc="T T T"
Na 0.0000 0.0000 4.5795
Na 0.0000 2.2393 2.2898
Na 2.2393 0.0000 2.2898
Ru 0.0000 0.0000 0.0000

Record 2
12
Lattice="3.8425 -6.6554 0.0000 3.8425 6.6554 0.0000 0.0000 0.0000 5.3910" Properties=species:S:1:pos:R:3 comment="PBE NaS, relaxed" delta_e_f_ev_per_atom=-1.076 e_ij_max_c_m2=0.08 vol_a3_per_atom=23.0 pbc="T T T"
S 3.8425 2.2185 4.3141
S 3.8425 -2.2185 1.0769
S 3.8425 2.2185 1.0769
S 0.0000 0.0000 3.7641
S 0.0000 0.0000 1.6268
S 3.8425 -2.2185 4.3141
Na 1.1930 -2.0663 0.0000
Na 5.2990 0.0000 0.0000
Na 2.4746 -4.2862 2.6955
Na 2.7357 0.0000 2.6955
Na 1.1930 2.0663 0.0000
Na 2.4746 4.2862 2.6955

Record 3
28
Lattice="-5.3938 1.4005 -1.9892 -0.0635 -6.4628 -4.3781 -6.0660 -7.5040 11.1650" Properties=species:S:1:pos:R:3 comment="PBE Na2S5, relaxed" delta_e_f_ev_per_atom=-0.853 vol_a3_per_atom=24.3 pbc="T T T"
Na -5.8428 -1.0990 0.9629
Na -5.3194 -4.4746 -1.0214
Na -5.7616 -6.2831 2.3988
Na -2.7286 -2.5311 -3.1837
Na 0.0000 0.0000 0.0000
Na -6.2038 -8.0917 5.8191
Na -3.0330 -3.7520 5.5825
Na -5.6805 -11.4672 3.8347
S -6.9469 -3.7293 1.4650
S -4.2462 -4.9984 -3.6602
S -2.9969 -6.6374 -3.4526
S -7.2770 -7.5679 8.4579
S -2.9753 -3.8090 0.6995
S -8.5264 -5.9288 8.2503
S -10.0937 -8.7615 5.4949
S -2.8225 -5.5279 1.8666
S -6.3614 -11.0452 6.6182
S -7.1334 -4.2057 5.6865
S -6.0313 -7.2067 -0.3747
S -8.7008 -7.0383 2.9311
S -2.8316 -7.0859 -1.4248
S -8.5480 -8.7573 4.0981
S -1.4296 -3.8048 -0.6972
S -4.3898 -8.3606 -0.8888
S -5.1619 -1.5211 -1.8205
S -8.6916 -5.4804 6.2225
S -5.4919 -5.3596 5.1723
S -4.5763 -8.8370 3.3326

Record 4
2
Lattice="0.9255 1.0156 -3.8191 0.9899 -2.8804 -2.6828 -2.5497 -0.9231 -3.0200" Properties=species:S:1:pos:R:3 comment="PBE NaS, relaxed" delta_e_f_ev_per_atom=-0.573 vol_a3_per_atom=23.6 pbc="T T T"
Na 0.0000 0.0000 0.0000
S -0.3172 -1.3939 -4.7610